# PBE Gd2AlZn, relaxed
data_Gd2AlZn
_chemical_formula_sum 'Gd8 Al4 Zn4'
_cell_length_a 7.297
_cell_length_b 7.297
_cell_length_c 7.297
_cell_angle_alpha 90.00
_cell_angle_beta 90.00
_cell_angle_gamma 90.00
_symmetry_space_group_name_H-M 'P 1'
_symmetry_Int_Tables_number 1
_symmetry_space_group_name_Hall 'P 1'
loop_
_atom_site_label
_atom_site_type_symbol
_atom_site_fract_x
_atom_site_fract_y
_atom_site_fract_z
Gd1 Gd 0.250 0.250 0.250
Gd2 Gd 0.250 0.250 0.750
Gd3 Gd 0.250 0.750 0.250
Gd4 Gd 0.250 0.750 0.750
Gd5 Gd 0.750 0.250 0.250
Gd6 Gd 0.750 0.250 0.750
Gd7 Gd 0.750 0.750 0.250
Gd8 Gd 0.750 0.750 0.750
Al1 Al 0.000 0.000 0.000
Al2 Al 0.000 0.500 0.500
Al3 Al 0.500 0.000 0.500
Al4 Al 0.500 0.500 0.000
Zn1 Zn 0.000 0.000 0.500
Zn2 Zn 0.000 0.500 0.000
Zn3 Zn 0.500 0.000 0.000
Zn4 Zn 0.500 0.500 0.500
# Calculated total energy in eV per atom: -8.67
# Symmetry: Fm-3m